# 1
## MgMn2Si4O12 (GGA+U)

Data for a relaxed structure of MgMn2Si4O12.

## Properties
size of the total moment	8.00	Bohr magnetons per cell
energy of formation from the pure elements	-5241	kJ/mol of formula units

Cell lengths 5.4462, 6.4637, 6.4674 Å; angles 83.50, 76.47, 76.43 degrees
With the nearest neighbours (Å) after each atom.
Space group P1 (No. 1)
Asymmetric unit:
Mg1 0.0000 0.0000 0.0000 [1 per cell]  6 O 2.10-2.27
Mn1 0.0001 0.3747 0.6256 [1 per cell]  4 O 1.89-2.09
Mn2 0.5000 0.1895 0.8108 [1 per cell]  4 O 1.95-1.96
Si1 0.0284 0.8878 0.5113 [1 per cell]  4 O 1.60-1.67
Si2 0.4806 0.6629 0.9351 [1 per cell]  4 O 1.63-1.68
Si3 0.5215 0.0652 0.3374 [1 per cell]  4 O 1.63-1.68
Si4 0.9738 0.4890 0.1126 [1 per cell]  4 O 1.60-1.67
O1 0.0371 0.6568 0.6319 [1 per cell]  1 Si 1.60
O2 0.0746 0.3082 0.9312 [1 per cell]  1 Si 1.66
O3 0.1793 0.6518 0.0687 [1 per cell]  2 Si 1.67-1.68
O4 0.3075 0.9171 0.3612 [1 per cell]  2 Si 1.64-1.65
O5 0.4059 0.9119 0.8467 [1 per cell]  1 Si 1.64
O6 0.4190 0.2310 0.5271 [1 per cell]  1 Si 1.63
O7 0.5816 0.4732 0.7696 [1 per cell]  1 Si 1.63
O8 0.5936 0.1539 0.0884 [1 per cell]  1 Si 1.64
O9 0.6965 0.6416 0.0809 [1 per cell]  2 Si 1.64
O10 0.8245 0.9333 0.3468 [1 per cell]  2 Si 1.67-1.68
O11 0.9255 0.0696 0.6921 [1 per cell]  1 Si 1.66
O12 0.9629 0.3681 0.3434 [1 per cell]  1 Si 1.60

***

# 2
## MgMn4Si8O22 (GGA+U)

Data for a relaxed structure of MgMn4Si8O22.

## Properties
size of the total moment	18.00	Bohr magnetons per cell
energy of formation from the pure elements	-9775	kJ/mol of formula units

Cell lengths 7.1296, 7.6686, 8.6942 Å; angles 99.02, 103.17, 107.42 degrees
With the nearest neighbours (Å) after each atom.
Space group P1 (No. 1)
Asymmetric unit:
Mg1 0.0000 0.0000 0.0000 [1 per cell]  4 O 2.00-2.12
Mn1 0.2575 0.1681 0.7918 [1 per cell]  5 O 2.04-2.29
Mn2 0.4744 0.4338 0.5670 [1 per cell]  4 O 1.86-2.06
Mn3 0.7238 0.1801 0.7940 [1 per cell]  4 O 2.03-2.19
Mn4 0.9598 0.4322 0.5765 [1 per cell]  4 O 1.88-2.07
Si1 0.0831 0.5990 0.9670 [1 per cell]  4 O 1.61-1.67
Si2 0.1332 0.0193 0.4115 [1 per cell]  4 O 1.61-1.65
Si3 0.3630 0.4223 0.1583 [1 per cell]  4 O 1.60-1.67
Si4 0.3694 0.7853 0.7975 [1 per cell]  4 O 1.61-1.67
Si5 0.5602 0.0232 0.4027 [1 per cell]  4 O 1.62-1.66
Si6 0.6469 0.5883 0.9602 [1 per cell]  4 O 1.62-1.66
Si7 0.8243 0.8258 0.5810 [1 per cell]  4 O 1.64-1.65
Si8 0.8381 0.1793 0.2177 [1 per cell]  4 O 1.60-1.72
O1 0.2174 0.5540 0.1219 [1 per cell]  2 Si 1.61-1.67
O2 0.2168 0.7864 0.9174 [1 per cell]  2 Si 1.65-1.67
O3 0.2224 0.2163 0.5542 [1 per cell]  1 Si 1.64
O4 0.2571 0.2162 0.0296 [1 per cell]  1 Si 1.63
O5 0.2570 0.5988 0.6439 [1 per cell]  1 Si 1.64
O6 0.3122 0.9593 0.3591 [1 per cell]  2 Si 1.61-1.62
O7 0.4037 0.3999 0.3420 [1 per cell]  1 Si 1.60
O8 0.4273 0.9886 0.7549 [1 per cell]  1 Si 1.61
O9 0.5493 0.4046 0.8026 [1 per cell]  1 Si 1.65
O10 0.5783 0.5335 0.1164 [1 per cell]  2 Si 1.62-1.67
O11 0.5829 0.7627 0.9050 [1 per cell]  2 Si 1.64-1.67
O12 0.6196 0.0456 0.2356 [1 per cell]  2 Si 1.62-1.65
O13 0.6216 0.8558 0.4728 [1 per cell]  2 Si 1.63-1.64
O14 0.6845 0.2214 0.5463 [1 per cell]  1 Si 1.66
O15 0.7571 0.6106 0.6049 [1 per cell]  1 Si 1.64
O16 0.8308 0.1810 0.0321 [1 per cell]  1 Si 1.60
O17 0.9020 0.6772 0.0107 [1 per cell]  2 Si 1.66-1.67
O18 0.9253 0.9861 0.7553 [1 per cell]  1 Si 1.65
O19 0.9324 0.3771 0.3526 [1 per cell]  1 Si 1.61
O20 0.9902 0.0440 0.2444 [1 per cell]  2 Si 1.65-1.72
O21 0.9911 0.4200 0.8077 [1 per cell]  1 Si 1.64
O22 0.9969 0.8551 0.4807 [1 per cell]  2 Si 1.63-1.65

***

# 3
## MgMnZnSiO6 (GGA+U)

Data for a relaxed structure of MgMnZnSiO6.

## Properties
size of the total moment	24.00	Bohr magnetons per cell
energy of formation from the pure elements	-2354	kJ/mol of formula units

Cell lengths 5.9806, 8.3972, 17.9994 Å; angles 90.00, 90.00, 90.00 degrees
With the nearest neighbours (Å) after each atom.
Space group Cmce (No. 64)
Asymmetric unit:
Mg1 0.2500 0.2500 0.0000 [8 per cell]  6 O 2.02-2.12
Mn1 0.0000 0.0173 0.0841 [8 per cell]  3 O 1.78-1.96
Zn1 0.2500 0.0998 0.7500 [8 per cell]  4 O 1.95-2.01
Si1 0.0000 0.1435 0.3472 [8 per cell]  4 O 1.64-1.67
O1 0.0000 0.2285 0.0748 [8 per cell]  1 Mn 1.78
O2 0.0000 0.2385 0.9201 [8 per cell]  1 Si 1.64
O3 0.0000 0.2410 0.7734 [8 per cell]  1 Si 1.64
O4 0.2061 0.0000 0.0000 [8 per cell]  2 Mn 1.96, 2 Mg 2.12
O5 0.2284 0.0286 0.3441 [16 per cell]  1 Si 1.67

***

# 4
## Mg6MnSnO8 (GGA+U)

Data for a relaxed structure of Mg6MnSnO8.

## Properties
size of the total moment	5.01	Bohr magnetons per cell
energy of formation from the pure elements	-3913	kJ/mol of formula units

Cell lengths 4.4754, 4.4754, 8.8691 Å; angles 90.00, 90.00, 90.00 degrees
With the nearest neighbours (Å) after each atom.
Space group P4/mmm (No. 123)
Asymmetric unit:
Mg1 0.0000 0.0000 0.0000 [1 per cell]  6 O 2.14-2.24
Mg2 0.0000 0.5000 0.2369 [4 per cell]  6 O 2.10-2.33
Mg3 0.5000 0.5000 0.0000 [1 per cell]  6 O 2.00-2.24
Mn1 0.0000 0.0000 0.5000 [1 per cell]  6 O 2.24-2.30
Sn1 0.5000 0.5000 0.5000 [1 per cell]  6 O 2.24-2.43
O1 0.0000 0.0000 0.2410 [2 per cell]  5 Mg 2.14-2.24, 1 Mn 2.30
O2 0.0000 0.5000 0.0000 [2 per cell]  6 Mg 2.10-2.24
O3 0.0000 0.5000 0.5000 [2 per cell]  2 Mn 2.24, 2 Sn 2.24, 2 Mg 2.33
O4 0.5000 0.5000 0.2257 [2 per cell]  5 Mg 2.00-2.24

***

# 5
## MgMn3SnO8 (GGA+U)

Data for a relaxed structure of MgMn3SnO8.

## Properties
size of the total moment	22.01	Bohr magnetons per cell
energy of formation from the pure elements	-2556	kJ/mol of formula units

Cell lengths 10.6157, 5.9356, 6.0196 Å; angles 90.00, 123.05, 90.00 degrees
With the nearest neighbours (Å) after each atom.
Space group C2/m (No. 12)
Asymmetric unit:
Mg1 0.0000 0.0000 0.0000 [2 per cell]  6 O 2.12-2.29
Mn1 0.0000 0.5000 0.0000 [2 per cell]  6 O 1.94-1.95
Mn2 0.2500 0.2500 0.0000 [4 per cell]  4 O 1.97-1.99
Sn1 0.0000 0.5000 0.5000 [2 per cell]  6 O 2.12-2.18
O1 0.0014 0.2711 0.7709 [8 per cell]  1 Mn 1.94, 1 Sn 2.12, 1 Mg 2.12
O2 0.2186 0.5000 0.1796 [4 per cell]  3 Mn 1.95-1.97
O3 0.2430 0.5000 0.7743 [4 per cell]  2 Mn 1.99, 1 Sn 2.18

***

# 6
## MgMn3SnO8 (GGA+U)

Data for a relaxed structure of MgMn3SnO8.

## Properties
size of the total moment	11.00	Bohr magnetons per cell
energy of formation from the pure elements	-2599	kJ/mol of formula units

Cell lengths 6.0296, 6.0537, 6.0884 Å; angles 91.92, 118.05, 119.23 degrees
With the nearest neighbours (Å) after each atom.
Space group P1 (No. 1)
Asymmetric unit:
Mg1 0.0000 0.0000 0.0000 [1 per cell]  4 O 2.01-2.07
Mn1 0.2233 0.3587 0.6159 [1 per cell]  4 O 1.92-2.05
Mn2 0.2358 0.8578 0.6260 [1 per cell]  4 O 1.93-2.05
Mn3 0.7361 0.3631 0.6157 [1 per cell]  6 O 1.89-2.07
Sn1 0.7407 0.3721 0.1261 [1 per cell]  6 O 2.06-2.13
O1 0.1666 0.5486 0.8212 [1 per cell]  2 Mn 1.89-1.92
O2 0.2144 0.6018 0.4060 [1 per cell]  2 Mn 1.93-1.99, 1 Sn 2.09
O3 0.2585 0.1270 0.8519 [1 per cell]  2 Mn 2.00-2.05, 1 Mg 2.01, 1 Sn 2.12
O4 0.2742 0.1552 0.4055 [1 per cell]  2 Mn 1.97-2.02, 1 Mg 2.05
O5 0.7030 0.1164 0.8431 [1 per cell]  2 Mn 2.05-2.07, 1 Mg 2.07, 1 Sn 2.13
O6 0.7181 0.1437 0.3705 [1 per cell]  1 Mn 1.89, 1 Sn 2.07
O7 0.7439 0.5936 0.8756 [1 per cell]  1 Mg 2.02, 1 Mn 2.04, 1 Sn 2.06
O8 0.7818 0.6120 0.4246 [1 per cell]  2 Mn 1.93-1.99, 1 Sn 2.13